# 1
Below is crystalline NaEuTiNbO6F at its relaxed geometry, with properties calculated at the GGA-PBE level.

```
NaEuTiNbO6F
1.0
-3.607 3.778 5.180
3.607 -3.778 5.180
3.607 3.778 -5.180
Na Eu Ti Nb O F
2 2 2 2 12 2
direct
0.000 0.000 0.500
0.000 0.500 0.000
0.000 0.000 0.000
0.500 0.000 0.500
0.500 0.500 0.500
0.500 0.000 0.000
0.500 0.500 0.000
0.000 0.500 0.500
0.424 0.174 0.250
0.817 0.567 0.250
0.436 0.581 0.264
0.816 0.172 0.236
0.436 0.172 0.855
0.816 0.581 0.645
0.576 0.826 0.750
0.183 0.433 0.750
0.564 0.419 0.736
0.184 0.828 0.764
0.564 0.828 0.145
0.184 0.419 0.355
0.123 0.873 0.250
0.877 0.127 0.750
```

## Properties
polymorph energy (0 for the lowest one)	3	meV per atom
space-group type	Imma (74)
total energy	-8.362	eV per atom

---

# 2
Below is crystalline CsV5S8 at its relaxed geometry, with properties calculated at the GGA-PBE level.

```
CsV5S8
1.0
1.683 8.842 0.000
-1.683 8.842 0.000
0.000 2.087 8.722
Cs V S
1 5 8
direct
0.500 0.500 0.500
0.000 0.000 0.000
0.351 0.351 0.994
0.294 0.294 0.331
0.706 0.706 0.669
0.649 0.649 0.006
0.428 0.428 0.168
0.911 0.911 0.830
0.830 0.830 0.492
0.761 0.761 0.151
0.239 0.239 0.849
0.170 0.170 0.508
0.089 0.089 0.170
0.572 0.572 0.832
```

## Properties
space-group type	C2/m (12)
total energy	-6.648	eV per atom

---

# 3
Below is crystalline Cs2LiCrC6N6 at its relaxed geometry, with properties calculated at the GGA-PBE level.

```
Cs2LiCrC6N6
1.0
-7.268 2.434 0.424
-0.554 -0.327 -7.624
-3.963 -10.631 -6.915
Cs Li Cr C N
4 2 2 12 12
direct
0.007 0.751 0.750
0.507 0.249 0.750
0.993 0.249 0.250
0.493 0.751 0.250
0.000 0.500 0.500
0.500 0.500 0.000
0.000 0.000 0.000
0.500 0.000 0.500
0.207 0.834 0.000
0.707 0.166 0.500
0.793 0.166 0.000
0.293 0.834 0.500
0.166 0.207 0.001
0.666 0.793 0.499
0.834 0.793 0.999
0.334 0.207 0.501
0.000 0.812 0.187
0.500 0.188 0.313
0.000 0.188 0.813
0.500 0.812 0.687
0.327 0.738 0.000
0.827 0.262 0.500
0.673 0.262 0.000
0.173 0.738 0.500
0.262 0.325 0.002
0.762 0.675 0.498
0.738 0.675 0.998
0.238 0.325 0.502
0.998 0.297 0.705
0.498 0.703 0.795
0.002 0.703 0.295
0.502 0.297 0.205
```

## Properties
space-group type	P2_1/c (14)
total energy	-7.563	eV per atom

---

# 4
Below is crystalline CdHgAsBr at its relaxed geometry, with properties calculated at the GGA-PBE level.

```
CdHgAsBr
1.0
4.805 0.000 0.000
0.000 10.213 0.000
0.000 0.000 11.064
Cd Hg As Br
4 4 4 4
direct
0.000 0.281 0.077
0.000 0.281 0.423
0.000 0.719 0.923
0.000 0.719 0.577
0.500 0.260 0.750
0.500 0.740 0.250
0.500 0.000 0.500
0.500 0.000 0.000
0.500 0.250 0.980
0.500 0.750 0.020
0.500 0.250 0.520
0.500 0.750 0.480
0.000 0.525 0.750
0.000 0.475 0.250
0.000 0.075 0.250
0.000 0.925 0.750
```

## Properties
space-group type	Pmma (51)
total energy	-2.251	eV per atom

---

# 5
Below is crystalline Mg6SiBO8 at its relaxed geometry, with properties calculated at the GGA-PBE level.

```
Mg6SiBO8
1.0
8.892 0.000 0.000
0.000 4.195 0.000
0.000 0.000 4.195
Mg Si B O
6 1 1 8
direct
0.000 0.500 0.500
0.500 0.500 0.500
0.266 0.000 0.500
0.734 0.000 0.500
0.266 0.500 0.000
0.734 0.500 0.000
0.000 0.000 0.000
0.500 0.000 0.000
0.193 0.000 0.000
0.807 0.000 0.000
0.252 0.500 0.500
0.748 0.500 0.500
0.000 0.000 0.500
0.500 0.000 0.500
0.000 0.500 0.000
0.500 0.500 0.000
```

## Properties
polymorph energy (0 for the lowest one)	0	meV per atom
space-group type	P4/mmm (123)
total energy	-5.838	eV per atom

---

# 6
Below is crystalline TiInCu2 at its relaxed geometry, with properties calculated at the GGA-PBE level.

```
TiInCu2
1.0
-0.238 0.151 -3.138
-3.131 -0.275 0.224
-0.529 6.315 0.344
Ti In Cu
1 1 2
direct
0.500 0.500 0.500
0.500 0.500 0.000
0.000 0.000 0.727
0.000 0.000 0.273
```

## Properties
space-group type	P4/mmm (123)
total energy	-4.719	eV per atom

---

no.,energy relative to the elements (meV per atom)
1,-3217.1
2,-1263.8
3,-276.6
4,-504.2
5,-2350.8
6,-7.8